TaTiCrO6 after structural relaxation. Source: the Materials Project, functional PBE with a Hubbard U.

Lattice parameters (Å, degrees): 4.6916 10.2204 9.3805 62.68 90.00 90.00
Closest atoms and distances in Å follow each position.
Fractional coordinates of all 36 atoms:
Ta: 0.5000 0.8341 0.8330  6 O 1.98-2.02
Ta: 0.5000 0.8341 0.3330  6 O 1.98-2.02
Ta: 0.0000 0.3341 0.3330  6 O 1.98-2.02
Ta: 0.0000 0.3341 0.8330  6 O 1.98-2.02
Ti: 0.5000 0.4981 0.0009  6 O 1.95-2.00
Ti: 0.5000 0.4981 0.5009  6 O 1.95-2.00
Ti: 0.0000 0.9982 0.0009  6 O 1.95-2.00
Ti: 0.0000 0.9982 0.5009  6 O 1.95-2.00
Cr: 0.5000 0.1671 0.1664  6 O 2.02-2.03
Cr: 0.0000 0.6671 0.1664  6 O 2.02-2.03
Cr: 0.5000 0.1671 0.6664  6 O 2.02-2.03
Cr: 0.0000 0.6671 0.6664  6 O 2.02-2.03
O: 0.1939 0.1658 0.0139  1 Ti 1.99, 1 Ta 2.00, 1 Cr 2.03
O: 0.1939 0.1658 0.5139  1 Ti 1.99, 1 Ta 2.00, 1 Cr 2.03
O: 0.8063 0.1659 0.3204  1 Ti 1.99, 1 Ta 1.99, 1 Cr 2.03
O: 0.8064 0.1659 0.8204  1 Ti 1.99, 1 Ta 1.99, 1 Cr 2.03
O: 0.3061 0.6658 0.0139  1 Ti 1.99, 1 Ta 2.00, 1 Cr 2.03
O: 0.3061 0.6658 0.5139  1 Ti 1.99, 1 Ta 2.00, 1 Cr 2.03
O: 0.6936 0.6659 0.8204  1 Ti 1.99, 1 Ta 1.99, 1 Cr 2.03
O: 0.6937 0.6659 0.3204  1 Ti 1.99, 1 Ta 1.99, 1 Cr 2.03
O: 0.1991 0.4973 0.8508  1 Ta 1.98, 1 Ti 2.00, 1 Cr 2.03
O: 0.1991 0.4973 0.3508  1 Ta 1.98, 1 Ti 2.00, 1 Cr 2.03
O: 0.8009 0.4973 0.1519  1 Ta 1.98, 1 Ti 2.00, 1 Cr 2.03
O: 0.8009 0.4973 0.6519  1 Ta 1.98, 1 Ti 2.00, 1 Cr 2.03
O: 0.3009 0.9973 0.8508  1 Ta 1.98, 1 Ti 2.00, 1 Cr 2.03
O: 0.3009 0.9973 0.3508  1 Ta 1.98, 1 Ti 2.00, 1 Cr 2.03
O: 0.6991 0.9973 0.6519  1 Ta 1.98, 1 Ti 2.00, 1 Cr 2.03
O: 0.6991 0.9973 0.1519  1 Ta 1.98, 1 Ti 2.00, 1 Cr 2.03
O: 0.1957 0.8373 0.6791  1 Ti 1.95, 1 Cr 2.02, 1 Ta 2.02
O: 0.1957 0.8373 0.1791  1 Ti 1.95, 1 Cr 2.02, 1 Ta 2.02
O: 0.8046 0.8371 0.9836  1 Ti 1.95, 1 Cr 2.02, 1 Ta 2.02
O: 0.8046 0.8371 0.4836  1 Ti 1.95, 1 Cr 2.02, 1 Ta 2.02
O: 0.3043 0.3373 0.1791  1 Ti 1.95, 1 Cr 2.02, 1 Ta 2.02
O: 0.3043 0.3373 0.6791  1 Ti 1.95, 1 Cr 2.02, 1 Ta 2.02
O: 0.6954 0.3371 0.9836  1 Ti 1.95, 1 Cr 2.02, 1 Ta 2.02
O: 0.6954 0.3371 0.4836  1 Ti 1.95, 1 Cr 2.02, 1 Ta 2.02

For the total energy, the calculation gives -9.01 eV per atom. Its corrected total energy (MP2020 scheme) is -9.687 eV per atom. The formation energy is -28.09 eV/f.u. The calculation puts the calculated volume at 11.10 A^3/atom. Its magnetic moment is 0.00 Bohr magnetons per cell.

LiV2O3F3 after structural relaxation. Source: the Materials Project, functional PBE with a Hubbard U.

Lattice parameters (Å, degrees): 5.1108 5.1433 13.5072 88.34 88.88 61.44
Closest atoms and distances in Å follow each position.
Fractional coordinates of all 27 atoms:
Li: 0.6895 0.6527 0.3744  2 F 2.02-2.05, 2 O 2.03-2.07
Li: 0.3394 0.3237 0.0381  2 F 1.99-2.19, 2 O 2.03-2.04
Li: 0.0290 0.9863 0.7092  2 F 2.02-2.06, 3 O 2.05-2.26
V: 0.6857 0.6783 0.6665  1 O 1.71
V: 0.9715 0.0220 0.4869  2 O 1.73-1.85
V: 0.9883 0.9847 0.0033  3 O 1.86-2.03, 3 F 1.98-2.07
V: 0.6296 0.6767 0.1537  2 O 1.72-1.87
V: 0.4097 0.3143 0.8257  3 O 1.70-1.77
V: 0.3430 0.3275 0.3326  2 O 1.73-1.91
O: 0.9129 0.7567 0.5912  1 V 1.71
O: 0.7070 0.9530 0.0844  2 V 1.86-1.87, 1 Li 2.03
O: 0.6572 0.2730 0.9148  1 V 1.70
O: 0.5647 0.4193 0.2573  1 V 1.73
O: 0.4012 0.6027 0.7493  1 V 1.77
O: 0.6828 0.0392 0.4176  1 V 1.73
O: 0.3440 0.6952 0.0839  1 V 1.72
O: 0.6209 0.0043 0.7556  1 V 1.73
O: 0.0650 0.2851 0.4191  2 V 1.85-1.91, 1 Li 2.03
F: 0.9666 0.6050 0.2569  2 V 2.04-2.12, 1 Li 2.05
F: 0.9636 0.3322 0.0844  1 Li 1.99, 2 V 2.02-2.07
F: 0.7399 0.3295 0.5867  2 V 2.00-2.02
F: 0.3906 0.9895 0.2537  2 V 1.98-2.02
F: 0.3116 0.9409 0.5921  2 V 2.00-2.14, 1 Li 2.06
F: 0.3022 0.6746 0.4215  2 V 1.99-2.11, 1 Li 2.02
F: 0.0827 0.6463 0.9169  2 V 1.98-2.13
F: 0.2616 0.0905 0.9189  2 V 2.04-2.05, 1 Li 2.19
F: 0.0104 0.3699 0.7503  2 V 2.00-2.19, 1 Li 2.02

For the total energy, the calculation gives -6.49 eV per atom. Its corrected total energy (MP2020 scheme) is -7.248 eV per atom. The formation energy is -24.57 eV/f.u. For the energy above the most stable polymorph in this dataset, the calculation gives 0.0000 eV per atom. The calculation puts the calculated volume at 11.54 A^3/atom. Its space group is P1, No. 1. Its magnetic moment is 6.00 Bohr magnetons per cell.

LiNiBO3 after structural relaxation. Source: the Materials Project, functional PBE with a Hubbard U.

Lattice parameters (Å, degrees): 5.1126 5.1126 10.0042 89.19 89.19 117.70
Closest atoms and distances in Å follow each position.
Fractional coordinates of all 24 atoms:
Li: 0.6490 0.6633 0.8338  4 O 1.91-2.10
Li: 0.6633 0.6490 0.3338  4 O 1.91-2.10
Li: 0.3455 0.3373 0.5847  4 O 1.92-2.05
Li: 0.3373 0.3455 0.0847  4 O 1.92-2.05
Ni: 0.9797 0.3201 0.3699  5 O 2.01-2.11
Ni: 0.6704 0.0170 0.1188  5 O 2.01-2.11
Ni: 0.3201 0.9797 0.8699  5 O 2.01-2.11
Ni: 0.0170 0.6704 0.6188  5 O 2.01-2.11
B: 0.9990 0.3337 0.8732  3 O 1.38-1.40
B: 0.6605 0.0008 0.6240  3 O 1.37-1.40
B: 0.3337 0.9990 0.3732  3 O 1.38-1.40
B: 0.0008 0.6605 0.1240  3 O 1.37-1.40
O: 0.0269 0.4088 0.1621  1 B 1.40
O: 0.9114 0.2503 0.5776  1 B 1.39
O: 0.7426 0.0773 0.9104  1 B 1.40
O: 0.5815 0.9780 0.3272  1 B 1.39
O: 0.7301 0.6554 0.1341  1 B 1.37
O: 0.6554 0.7301 0.6341  1 B 1.37
O: 0.3461 0.2723 0.3854  1 B 1.38
O: 0.2723 0.3461 0.8854  1 B 1.38
O: 0.4088 0.0269 0.6621  1 B 1.40
O: 0.2503 0.9114 0.0776  1 B 1.39
O: 0.0773 0.7426 0.4104  1 B 1.40
O: 0.9780 0.5815 0.8272  1 B 1.39

For the total energy, the calculation gives -6.30 eV per atom. Its corrected total energy (MP2020 scheme) is -7.070 eV per atom. The formation energy is -13.21 eV/f.u. For the energy above the most stable polymorph in this dataset, the calculation gives 0.0148 eV per atom. The calculation puts the calculated volume at 9.64 A^3/atom. Its space group is Cc, No. 9. Its magnetic moment is 8.00 Bohr magnetons per cell.